1.
First-principles (GGA+U) data for crystalline LiCrSiO4 at its relaxed geometry, as listed in the Materials Project.

Cell: 5.5657 10.7836 10.1121 Å, 90.00 91.20 90.00°
With the nearest neighbours (Å) after each atom.
Space group P2_1/c (No. 14)
Symmetry-distinct sites (fractional):
Li (0.0946, 0.1588, 0.3292) (multiplicity 4)  3 O 2.02-2.25
Li (0.3652, 0.6172, 0.0935) (multiplicity 4)  2 O 1.99-2.10
Cr (0.1508, 0.6226, 0.5158) (multiplicity 4)  6 O 1.98-2.10
Cr (0.3399, 0.0913, 0.7679) (multiplicity 4)  5 O 1.92-2.09
Si (0.1116, 0.6027, 0.8406) (multiplicity 4)  4 O 1.63-1.70
Si (0.4040, 0.1433, 0.0826) (multiplicity 4)  4 O 1.58-1.68
O (0.0186, 0.6644, 0.6934) (multiplicity 4)  1 Si 1.70
O (0.1111, 0.0028, 0.6422) (multiplicity 4)  1 Si 1.65
O (0.1163, 0.7010, 0.9632) (multiplicity 4)  1 Si 1.63
O (0.1602, 0.0586, 0.0666) (multiplicity 4)  1 Si 1.64
O (0.3468, 0.2483, 0.1864) (multiplicity 4)  1 Si 1.58
O (0.3512, 0.5708, 0.3631) (multiplicity 4)  1 Si 1.65
O (0.3687, 0.5279, 0.8302) (multiplicity 4)  1 Si 1.65
O (0.4995, 0.6798, 0.5689) (multiplicity 4)  1 Si 1.68

Results
Crystal system: monoclinic
V: 10.835 A^3/atom
Total energy: -407.02 eV per cell
ΔE_f: -2.692 eV/atom



2.
First-principles (GGA+U) data for crystalline Li4Mn3Sn2Sb3O16 at its relaxed geometry, as listed in the Materials Project.

Cell: 11.0641 6.2798 10.0036 Å, 90.00 91.54 90.00°
With the nearest neighbours (Å) after each atom.
Space group Cm (No. 8)
Symmetry-distinct sites (fractional):
Li (0.0000, 0.0000, 0.0000) (multiplicity 2)  4 O 1.87-2.06
Li (0.0022, 0.0000, 0.5171) (multiplicity 2)  1 O 1.82
Li (0.1774, 0.5000, 0.0923) (multiplicity 2)  3 O 1.96-2.08
Li (0.3402, 0.0000, 0.6112) (multiplicity 2)  4 O 1.96-2.16
Mn (0.0773, 0.2553, 0.7893) (multiplicity 4)  6 O 2.13-2.35
Mn (0.1647, 0.0000, 0.2865) (multiplicity 2)  6 O 2.17-2.23
Sn (0.1513, 0.5000, 0.5214) (multiplicity 2)  5 O 2.02-2.18
Sn (0.3185, 0.0000, 0.9995) (multiplicity 2)  5 O 1.99-2.23
Sb (0.3232, 0.5000, 0.7849) (multiplicity 2)  6 O 1.97-2.11
Sb (0.4114, 0.2465, 0.2849) (multiplicity 4)  6 O 2.02-2.11
O (0.0148, 0.5000, 0.6518) (multiplicity 2)  1 Li 1.96, 1 Sn 2.02, 2 Mn 2.16
O (0.0693, 0.2468, 0.4011) (multiplicity 4)  1 Sb 2.07, 1 Li 2.08, 1 Sn 2.18, 1 Mn 2.21
O (0.1543, 0.0000, 0.9128) (multiplicity 2)  1 Li 1.94, 1 Sn 1.99
O (0.1779, 0.5000, 0.8967) (multiplicity 2)  1 Li 1.96, 1 Sb 1.98, 2 Mn 2.17
O (0.2467, 0.2831, 0.6537) (multiplicity 4)  1 Sb 2.06, 1 Li 2.11, 1 Sn 2.16
O (0.2659, 0.2262, 0.1594) (multiplicity 4)  1 Sb 2.02, 1 Li 2.08, 1 Sn 2.23, 1 Mn 2.23
O (0.3361, 0.5000, 0.3941) (multiplicity 2)  2 Sb 2.11, 1 Li 2.18
O (0.3402, 0.0000, 0.3949) (multiplicity 2)  2 Sb 2.07, 1 Li 2.16, 1 Mn 2.20
O (0.4041, 0.2604, 0.9056) (multiplicity 4)  1 Li 2.06, 1 Sb 2.11, 1 Sn 2.12, 1 Mn 2.27
O (0.4783, 0.0000, 0.1633) (multiplicity 2)  2 Sb 2.11, 1 Li 2.33
O (0.4802, 0.5000, 0.6971) (multiplicity 2)  1 Li 1.82, 1 Sb 1.97
O (0.4881, 0.5000, 0.1862) (multiplicity 2)  1 Li 1.87, 2 Sb 2.07

Results
Crystal system: monoclinic
V: 12.407 A^3/atom
Total energy: -352.01 eV per cell
ΔE_f: -2.047 eV/atom



3.
First-principles (GGA+U) data for crystalline FeWClO4 at its relaxed geometry, as listed in the Materials Project.

Cell: 6.7998 6.7998 5.5769 Å, 90.00 90.00 90.00°
With the nearest neighbours (Å) after each atom.
Space group P4/nmm (No. 129, origin choice 2)
Symmetry-distinct sites (fractional):
Fe (0.2500, 0.2500, 0.2278) (multiplicity 2)  4 O 1.98
W (0.2500, 0.7500, 0.5000) (multiplicity 2)  4 O 1.81
Cl (0.2500, 0.2500, 0.8256) (multiplicity 2)  1 Fe 2.24
O (0.0337, 0.7500, 0.6898) (multiplicity 8)  1 W 1.81, 1 Fe 1.98

Results
Crystal system: tetragonal
V: 18.419 A^3/atom
Total energy: -91.47 eV per cell
ΔE_f: -1.730 eV/atom



4.
First-principles (GGA+U) data for crystalline LiMnO2 at its relaxed geometry, as listed in the Materials Project.

Cell: 3.0222 3.0222 14.6502 Å, 90.00 90.00 120.00°
With the nearest neighbours (Å) after each atom.
Space group R-3m (No. 166, hexagonal axes)
Symmetry-distinct sites (fractional):
Li (0.0000, 0.0000, 0.0000) (multiplicity 3)  6 O 2.20
Mn (0.0000, 0.0000, 0.5000) (multiplicity 3)  6 O 2.07
O (0.0000, 0.0000, 0.2424) (multiplicity 6)  3 Mn 2.07, 3 Li 2.20

Results
Crystal system: trigonal
V: 9.657 A^3/atom
Total energy: -78.52 eV per cell
ΔE_f: -2.062 eV/atom



5.
First-principles (GGA+U) data for crystalline MgFe4P12O36 at its relaxed geometry, as listed in the Materials Project.

Cell: 8.7225 8.7243 8.7593 Å, 90.29 91.55 90.64°
With the nearest neighbours (Å) after each atom.
Space group P1 (No. 1)
Symmetry-distinct sites (fractional):
Mg (0.0000, 0.0000, 0.0000) (multiplicity 1)  4 O 1.94-2.07
Fe (0.0307, 0.6541, 0.4209) (multiplicity 1)  6 O 2.01-2.08
Fe (0.3315, 0.8813, 0.9213) (multiplicity 1)  5 O 2.07-2.24
Fe (0.5363, 0.3835, 0.6329) (multiplicity 1)  6 O 1.99-2.13
Fe (0.7996, 0.1878, 0.1706) (multiplicity 1)  4 O 1.98-2.16
P (0.1664, 0.3394, 0.5750) (multiplicity 1)  4 O 1.50-1.61
P (0.1795, 0.2184, 0.1102) (multiplicity 1)  4 O 1.51-1.60
P (0.3494, 0.0608, 0.5836) (multiplicity 1)  4 O 1.49-1.64
P (0.3643, 0.8188, 0.3332) (multiplicity 1)  4 O 1.49-1.63
P (0.4827, 0.3254, 0.2285) (multiplicity 1)  4 O 1.49-1.63
P (0.4984, 0.5512, 0.9672) (multiplicity 1)  4 O 1.49-1.64
P (0.6606, 0.6949, 0.4688) (multiplicity 1)  4 O 1.51-1.62
P (0.6985, 0.8238, 0.9571) (multiplicity 1)  4 O 1.48-1.64
P (0.8466, 0.9734, 0.4756) (multiplicity 1)  4 O 1.49-1.61
P (0.8831, 0.2147, 0.7234) (multiplicity 1)  4 O 1.49-1.62
P (0.9777, 0.7057, 0.8151) (multiplicity 1)  4 O 1.49-1.60
P (0.9934, 0.4969, 0.0873) (multiplicity 1)  4 O 1.49-1.62
O (0.0126, 0.6599, 0.6559) (multiplicity 1)  1 P 1.49
O (0.0429, 0.1421, 0.1859) (multiplicity 1)  1 P 1.53
O (0.0440, 0.6272, 0.1908) (multiplicity 1)  1 P 1.51
O (0.0474, 0.2986, 0.7067) (multiplicity 1)  2 P 1.61
O (0.0816, 0.8224, 0.8965) (multiplicity 1)  1 P 1.52
O (0.0831, 0.4239, 0.4478) (multiplicity 1)  1 P 1.51
O (0.1365, 0.3866, 0.0539) (multiplicity 1)  2 P 1.60-1.62
O (0.2111, 0.1699, 0.5184) (multiplicity 1)  2 P 1.61-1.64
O (0.2248, 0.1190, 0.9775) (multiplicity 1)  1 P 1.51
O (0.2533, 0.7171, 0.4166) (multiplicity 1)  1 P 1.51
O (0.2896, 0.9503, 0.6971) (multiplicity 1)  1 P 1.49
O (0.3056, 0.4170, 0.6468) (multiplicity 1)  1 P 1.50
O (0.3098, 0.2542, 0.2332) (multiplicity 1)  2 P 1.57-1.63
O (0.3331, 0.8610, 0.1708) (multiplicity 1)  1 P 1.49
O (0.3663, 0.6470, 0.9168) (multiplicity 1)  1 P 1.49
O (0.3942, 0.9760, 0.4289) (multiplicity 1)  2 P 1.60-1.62
O (0.4588, 0.4792, 0.1310) (multiplicity 1)  2 P 1.61
O (0.4842, 0.1614, 0.6320) (multiplicity 1)  1 P 1.51
O (0.5233, 0.3699, 0.3900) (multiplicity 1)  1 P 1.50
O (0.5331, 0.7411, 0.3418) (multiplicity 1)  2 P 1.61-1.63
O (0.5525, 0.4277, 0.8609) (multiplicity 1)  1 P 1.51
O (0.5684, 0.9137, 0.8936) (multiplicity 1)  1 P 1.48
O (0.5736, 0.2128, 0.1403) (multiplicity 1)  1 P 1.49
O (0.5873, 0.6069, 0.5959) (multiplicity 1)  1 P 1.51
O (0.6441, 0.6602, 0.0217) (multiplicity 1)  2 P 1.61-1.64
O (0.7119, 0.8619, 0.5348) (multiplicity 1)  2 P 1.61-1.62
O (0.7608, 0.3139, 0.6553) (multiplicity 1)  1 P 1.49
O (0.7775, 0.0914, 0.3736) (multiplicity 1)  1 P 1.49
O (0.7961, 0.6232, 0.3940) (multiplicity 1)  1 P 1.51
O (0.8058, 0.9012, 0.0741) (multiplicity 1)  1 P 1.52
O (0.8067, 0.7705, 0.8170) (multiplicity 1)  2 P 1.60-1.64
O (0.8554, 0.4067, 0.1305) (multiplicity 1)  1 P 1.49
O (0.8793, 0.1652, 0.8883) (multiplicity 1)  1 P 1.51
O (0.9029, 0.0548, 0.6323) (multiplicity 1)  2 P 1.60-1.62
O (0.9671, 0.5548, 0.9155) (multiplicity 1)  2 P 1.59-1.60
O (0.9784, 0.8793, 0.4202) (multiplicity 1)  1 P 1.51

Results
Crystal system: triclinic
V: 12.571 A^3/atom
Total energy: -376.54 eV per cell
ΔE_f: -2.485 eV/atom



6.
First-principles (GGA+U) data for crystalline Li2Si4Ni2O11 at its relaxed geometry, as listed in the Materials Project.

Cell: 6.9439 7.4448 8.6956 Å, 99.22 101.23 105.02°
With the nearest neighbours (Å) after each atom.
Space group P-1 (No. 2)
Symmetry-distinct sites (fractional):
Li (0.1098, 0.2963, 0.1986) (multiplicity 2)  3 O 2.00-2.18
Li (0.3565, 0.7463, 0.8456) (multiplicity 2)  2 O 1.92-2.01
Si (0.0200, 0.7218, 0.2249) (multiplicity 2)  4 O 1.63-1.65
Si (0.2601, 0.1071, 0.9699) (multiplicity 2)  4 O 1.59-1.69
Si (0.2682, 0.4773, 0.5929) (multiplicity 2)  4 O 1.62-1.68
Si (0.4583, 0.7222, 0.2323) (multiplicity 2)  4 O 1.63-1.64
Ni (0.1293, 0.8863, 0.6027) (multiplicity 2)  5 O 2.03-2.20
Ni (0.3809, 0.1148, 0.3917) (multiplicity 2)  5 O 2.00-2.20
O (0.0835, 0.9102, 0.3702) (multiplicity 2)  1 Si 1.63
O (0.1012, 0.2401, 0.9430) (multiplicity 2)  2 Si 1.64-1.67
O (0.1208, 0.4648, 0.7255) (multiplicity 2)  2 Si 1.65-1.68
O (0.1741, 0.3046, 0.4342) (multiplicity 2)  1 Si 1.62
O (0.1750, 0.9028, 0.8427) (multiplicity 2)  1 Si 1.62
O (0.2076, 0.6476, 0.1804) (multiplicity 2)  2 Si 1.63
O (0.3184, 0.1132, 0.1573) (multiplicity 2)  1 Si 1.59
O (0.3175, 0.6980, 0.5786) (multiplicity 2)  1 Si 1.62
O (0.4354, 0.0848, 0.6265) (multiplicity 2)  1 Si 1.63
O (0.4760, 0.2414, 0.9345) (multiplicity 2)  2 Si 1.64-1.69
O (0.4813, 0.4572, 0.7061) (multiplicity 2)  2 Si 1.64-1.67

Results
Crystal system: triclinic
V: 10.926 A^3/atom
Total energy: -260.22 eV per cell
ΔE_f: -2.697 eV/atom



7.
First-principles (GGA+U) data for crystalline Li2ZrFeP3O12 at its relaxed geometry, as listed in the Materials Project.

Cell: 8.9407 8.7910 12.3787 Å, 90.00 90.00 90.00°
With the nearest neighbours (Å) after each atom.
Space group Pna2_1 (No. 33)
Symmetry-distinct sites (fractional):
Li (0.2162, 0.0310, 0.0000) (multiplicity 4)  4 O 1.90-2.09
Li (0.2270, 0.5349, 0.8609) (multiplicity 4)  4 O 1.95-2.03
Zr (0.0396, 0.5017, 0.0693) (multiplicity 4)  6 O 2.03-2.15
Fe (0.0410, 0.0037, 0.7938) (multiplicity 4)  6 O 1.96-2.14
P (0.1017, 0.8599, 0.5355) (multiplicity 4)  4 O 1.53-1.57
P (0.1106, 0.3493, 0.3314) (multiplicity 4)  4 O 1.54-1.57
P (0.2488, 0.7930, 0.1890) (multiplicity 4)  4 O 1.53-1.57
O (0.0132, 0.5800, 0.9055) (multiplicity 4)  1 P 1.57
O (0.0171, 0.0759, 0.9578) (multiplicity 4)  1 P 1.54
O (0.0677, 0.9073, 0.6522) (multiplicity 4)  1 P 1.53
O (0.0722, 0.3998, 0.2146) (multiplicity 4)  1 P 1.55
O (0.1063, 0.1750, 0.3402) (multiplicity 4)  1 P 1.54
O (0.1073, 0.6829, 0.5270) (multiplicity 4)  1 P 1.56
O (0.1415, 0.6967, 0.1192) (multiplicity 4)  1 P 1.54
O (0.1426, 0.1950, 0.7537) (multiplicity 4)  1 P 1.53
O (0.1619, 0.8989, 0.2657) (multiplicity 4)  1 P 1.54
O (0.1672, 0.3989, 0.6071) (multiplicity 4)  1 P 1.57
O (0.2343, 0.9124, 0.8638) (multiplicity 4)  1 P 1.55
O (0.2400, 0.4185, 0.0008) (multiplicity 4)  1 P 1.57

Results
Crystal system: orthorhombic
V: 12.802 A^3/atom
Total energy: -558.24 eV per cell
ΔE_f: -2.822 eV/atom



8.
First-principles (GGA+U) data for crystalline MgMn6O8F4 at its relaxed geometry, as listed in the Materials Project.

Cell: 3.0606 5.2509 14.3709 Å, 79.64 89.59 89.67°
With the nearest neighbours (Å) after each atom.
Space group P1 (No. 1)
Symmetry-distinct sites (fractional):
Mg (0.0000, 0.0000, 0.0000) (multiplicity 1)  4 F 1.99-2.00, 2 O 2.08
Mn (0.0002, 0.4938, 0.4994) (multiplicity 1)  4 O 1.97
Mn (0.0010, 0.5378, 0.2181) (multiplicity 1)  4 O 1.92-2.08
Mn (0.4986, 0.0009, 0.6631) (multiplicity 1)  4 O 1.94-1.98, 2 F 2.07-2.10
Mn (0.5000, 0.5004, 0.9990) (multiplicity 1)  4 O 2.00-2.01, 2 F 2.17
Mn (0.5017, 0.9882, 0.3361) (multiplicity 1)  4 O 1.94-1.97, 2 F 2.07-2.09
Mn (0.9993, 0.4525, 0.7806) (multiplicity 1)  4 O 1.92-2.08
O (0.0021, 0.3800, 0.9278) (multiplicity 1)  3 Mn 2.00-2.08, 1 Mg 2.08
O (0.0019, 0.8574, 0.2728) (multiplicity 1)  3 Mn 1.96-1.98
O (0.4977, 0.6746, 0.7527) (multiplicity 1)  3 Mn 1.92-1.95
O (0.4992, 0.3106, 0.5669) (multiplicity 1)  3 Mn 1.94-1.97
O (0.5013, 0.6765, 0.4318) (multiplicity 1)  3 Mn 1.94-1.97
O (0.5025, 0.3160, 0.2470) (multiplicity 1)  3 Mn 1.92-1.95
O (0.9977, 0.6190, 0.0710) (multiplicity 1)  3 Mn 2.01-2.08, 1 Mg 2.08
O (0.9991, 0.1328, 0.7261) (multiplicity 1)  3 Mn 1.96-1.98
F (0.0041, 0.1537, 0.4031) (multiplicity 1)  2 Mn 2.07-2.09
F (0.4976, 0.1029, 0.0743) (multiplicity 1)  2 Mg 1.99-2.00, 1 Mn 2.17
F (0.5023, 0.8989, 0.9249) (multiplicity 1)  2 Mg 2.00, 1 Mn 2.17
F (0.9953, 0.8328, 0.5966) (multiplicity 1)  2 Mn 2.07-2.10

Results
Crystal system: triclinic
V: 11.957 A^3/atom
Total energy: -129.62 eV per cell
ΔE_f: -2.271 eV/atom